Ba2SmCrO6 after structural relaxation. Source: the Materials Project, functional PBE with a Hubbard U.

Cell: 8.413 8.413 8.413 Å, 90.00 90.00 90.00°
Atoms (fractional coordinates):
Ba (0.250, 0.250, 0.250)
Ba (0.250, 0.250, 0.750)
Ba (0.250, 0.750, 0.250)
Ba (0.250, 0.750, 0.750)
Ba (0.750, 0.250, 0.250)
Ba (0.750, 0.250, 0.750)
Ba (0.750, 0.750, 0.250)
Ba (0.750, 0.750, 0.750)
Sm (0.000, 0.000, 0.000)
Sm (0.000, 0.500, 0.500)
Sm (0.500, 0.000, 0.500)
Sm (0.500, 0.500, 0.000)
Cr (0.000, 0.000, 0.500)
Cr (0.000, 0.500, 0.000)
Cr (0.500, 0.000, 0.000)
Cr (0.500, 0.500, 0.500)
O (0.011, 0.512, 0.773)
O (0.011, 0.988, 0.727)
O (0.012, 0.227, 0.511)
O (0.012, 0.273, 0.989)
O (0.227, 0.511, 0.012)
O (0.227, 0.989, 0.488)
O (0.273, 0.511, 0.488)
O (0.273, 0.989, 0.012)
O (0.488, 0.227, 0.989)
O (0.488, 0.273, 0.511)
O (0.489, 0.512, 0.727)
O (0.489, 0.988, 0.773)
O (0.511, 0.012, 0.227)
O (0.511, 0.488, 0.273)
O (0.512, 0.727, 0.489)
O (0.512, 0.773, 0.011)
O (0.727, 0.011, 0.988)
O (0.727, 0.489, 0.512)
O (0.773, 0.011, 0.512)
O (0.773, 0.489, 0.988)
O (0.988, 0.727, 0.011)
O (0.988, 0.773, 0.489)
O (0.989, 0.012, 0.273)
O (0.989, 0.488, 0.227)

Values from the calculation:
As for the space-group type: Pn-3 (201). The energy with MP2020 corrections is -304.7 eV for the cell shown. As for the formation enthalpy at 0 K: -2.828 eV per atom.

=====

Ba2MgV2Si4O14 after structural relaxation. Source: the Materials Project, functional PBE with a Hubbard U.

Cell: 5.596 7.350 8.177 Å, 91.68 109.80 90.03°
Atoms (fractional coordinates):
Ba (0.000, 0.000, 0.000)
Ba (0.399, 0.518, 0.806)
Mg (0.072, 0.259, 0.403)
V (0.105, 0.529, 0.182)
V (0.323, 0.988, 0.625)
Si (0.578, 0.232, 0.190)
Si (0.602, 0.787, 0.195)
Si (0.787, 0.286, 0.615)
Si (0.806, 0.731, 0.611)
O (0.078, 0.212, 0.662)
O (0.093, 0.815, 0.700)
O (0.201, 0.019, 0.391)
O (0.213, 0.499, 0.416)
O (0.304, 0.322, 0.095)
O (0.317, 0.704, 0.100)
O (0.565, 0.009, 0.142)
O (0.607, 0.196, 0.710)
O (0.615, 0.813, 0.706)
O (0.677, 0.258, 0.403)
O (0.702, 0.760, 0.403)
O (0.802, 0.703, 0.107)
O (0.822, 0.509, 0.663)
O (0.823, 0.306, 0.144)

Values from the calculation:
The energy above the most stable polymorph in this dataset is 20 meV/atom. As for the space-group type: P1 (1). The energy with MP2020 corrections is -184.6 eV for the cell shown. As for the formation enthalpy at 0 K: -3.044 eV per atom.

=====

TmFe4Cu3O12 after structural relaxation. Source: the Materials Project, functional PBE with a Hubbard U.

Cell: 6.450 6.450 6.450 Å, 109.47 109.47 109.47°
Atoms (fractional coordinates):
Tm (0.000, 0.000, 0.000)
Fe (0.000, 0.000, 0.500)
Fe (0.000, 0.500, 0.000)
Fe (0.500, 0.000, 0.000)
Fe (0.500, 0.500, 0.500)
Cu (0.000, 0.500, 0.500)
Cu (0.500, 0.000, 0.500)
Cu (0.500, 0.500, 0.000)
O (0.143, 0.306, 0.836)
O (0.164, 0.470, 0.306)
O (0.164, 0.857, 0.694)
O (0.306, 0.164, 0.470)
O (0.306, 0.836, 0.143)
O (0.470, 0.306, 0.164)
O (0.530, 0.694, 0.836)
O (0.694, 0.164, 0.857)
O (0.694, 0.836, 0.530)
O (0.836, 0.143, 0.306)
O (0.836, 0.530, 0.694)
O (0.857, 0.694, 0.164)

Values from the calculation:
As for the space-group type: Im-3 (204). The energy with MP2020 corrections is -142.8 eV for the cell shown. As for the formation enthalpy at 0 K: -1.640 eV per atom.

=====

BaMnNb2O6 after structural relaxation. Source: the Materials Project, functional PBE with a Hubbard U.

Cell: 5.796 5.796 5.796 Å, 60.00 60.00 60.00°
Atoms (fractional coordinates):
Ba (0.000, 0.000, 0.000)
Mn (0.500, 0.500, 0.500)
Nb (0.250, 0.250, 0.250)
Nb (0.750, 0.750, 0.750)
O (0.000, 0.000, 0.500)
O (0.000, 0.500, 0.000)
O (0.000, 0.500, 0.500)
O (0.500, 0.000, 0.000)
O (0.500, 0.000, 0.500)
O (0.500, 0.500, 0.000)

Values from the calculation:
As for the space-group type: Fm-3m (225). The energy with MP2020 corrections is -87.9 eV for the cell shown. As for the formation enthalpy at 0 K: -2.694 eV per atom.

=====

Gd2CrSbO7 after structural relaxation. Source: the Materials Project, functional PBE with a Hubbard U.

Cell: 7.338 7.338 7.338 Å, 120.10 119.58 90.27°
Atoms (fractional coordinates):
Gd (0.000, 0.000, 0.000)
Gd (0.500, 0.000, 0.000)
Gd (0.500, 0.000, 0.500)
Gd (0.500, 0.500, 0.500)
Cr (0.000, 0.000, 0.500)
Cr (0.000, 0.500, 0.000)
Sb (0.000, 0.500, 0.500)
Sb (0.500, 0.500, 0.000)
O (0.086, 0.422, 0.257)
O (0.086, 0.829, 0.664)
O (0.088, 0.838, 0.250)
O (0.330, 0.580, 0.750)
O (0.335, 0.171, 0.757)
O (0.335, 0.578, 0.164)
O (0.378, 0.128, 0.250)
O (0.622, 0.872, 0.750)
O (0.665, 0.422, 0.836)
O (0.665, 0.829, 0.243)
O (0.670, 0.420, 0.250)
O (0.912, 0.162, 0.750)
O (0.914, 0.171, 0.336)
O (0.914, 0.578, 0.743)

Values from the calculation:
As for the space-group type: Imma (74). The energy with MP2020 corrections is -219.3 eV for the cell shown. As for the formation enthalpy at 0 K: -3.007 eV per atom.

=====

Na3Mn2P2C2O14 after structural relaxation. Source: the Materials Project, functional PBE with a Hubbard U.

Cell: 8.341 8.429 10.303 Å, 107.30 107.03 103.23°
Atoms (fractional coordinates):
Na (0.000, 0.000, 0.000)
Na (0.011, 0.021, 0.538)
Na (0.226, 0.738, 0.995)
Na (0.481, 0.541, 0.518)
Na (0.718, 0.278, 0.011)
Na (0.763, 0.263, 0.528)
Mn (0.197, 0.448, 0.114)
Mn (0.307, 0.061, 0.416)
Mn (0.692, 0.947, 0.117)
Mn (0.809, 0.565, 0.415)
P (0.052, 0.300, 0.335)
P (0.445, 0.196, 0.192)
P (0.548, 0.817, 0.341)
P (0.946, 0.712, 0.193)
C (0.024, 0.290, 0.848)
C (0.468, 0.234, 0.681)
C (0.530, 0.789, 0.851)
C (0.964, 0.724, 0.682)
O (0.014, 0.775, 0.588)
O (0.025, 0.610, 0.094)
O (0.040, 0.801, 0.820)
O (0.090, 0.857, 0.342)
O (0.156, 0.212, 0.428)
O (0.170, 0.430, 0.910)
O (0.184, 0.426, 0.299)
O (0.318, 0.059, 0.228)
O (0.324, 0.090, 0.619)
O (0.328, 0.260, 0.090)
O (0.397, 0.678, 0.195)
O (0.449, 0.708, 0.717)
O (0.477, 0.938, 0.440)
O (0.484, 0.747, 0.952)
O (0.508, 0.278, 0.577)
O (0.539, 0.095, 0.103)
O (0.555, 0.316, 0.814)
O (0.584, 0.346, 0.339)
O (0.649, 0.734, 0.435)
O (0.675, 0.934, 0.916)
O (0.685, 0.944, 0.305)
O (0.820, 0.581, 0.231)
O (0.821, 0.578, 0.615)
O (0.840, 0.799, 0.101)
O (0.908, 0.158, 0.184)
O (0.942, 0.208, 0.711)
O (0.964, 0.396, 0.429)
O (0.975, 0.245, 0.946)

Values from the calculation:
The energy above the most stable polymorph in this dataset is 0 meV/atom. As for the space-group type: P1 (1). The energy with MP2020 corrections is -345.2 eV for the cell shown. As for the formation enthalpy at 0 K: -2.250 eV per atom.

=====

MgV4O7F5 after structural relaxation. Source: the Materials Project, functional PBE with a Hubbard U.

Cell: 5.120 5.403 8.777 Å, 74.49 74.85 63.22°
Atoms (fractional coordinates):
Mg (0.000, 0.000, 0.000)
V (0.072, 0.246, 0.631)
V (0.337, 0.473, 0.868)
V (0.511, 0.746, 0.156)
V (0.786, 0.987, 0.404)
O (0.102, 0.956, 0.217)
O (0.117, 0.291, 0.832)
O (0.452, 0.672, 0.987)
O (0.499, 0.078, 0.563)
O (0.628, 0.415, 0.720)
O (0.634, 0.841, 0.314)
O (0.994, 0.148, 0.482)
F (0.039, 0.626, 0.515)
F (0.070, 0.867, 0.779)
F (0.556, 0.121, 0.019)
F (0.570, 0.376, 0.283)
F (0.967, 0.609, 0.062)

Values from the calculation:
The energy above the most stable polymorph in this dataset is 59 meV/atom. As for the space-group type: P1 (1). The energy with MP2020 corrections is -127.4 eV for the cell shown. As for the formation enthalpy at 0 K: -2.664 eV per atom.

=====

NaMn2BiO6 after structural relaxation. Source: the Materials Project, functional PBE with a Hubbard U.

Cell: 5.455 5.455 5.455 Å, 59.92 59.92 59.92°
Atoms (fractional coordinates):
Na (0.000, 0.000, 0.000)
Mn (0.261, 0.261, 0.261)
Mn (0.762, 0.762, 0.762)
Bi (0.489, 0.489, 0.489)
O (0.039, 0.440, 0.590)
O (0.096, 0.936, 0.520)
O (0.440, 0.590, 0.039)
O (0.520, 0.096, 0.936)
O (0.590, 0.039, 0.440)
O (0.936, 0.520, 0.096)

Values from the calculation:
As for the space-group type: R3 (146). The energy with MP2020 corrections is -70.9 eV for the cell shown. As for the formation enthalpy at 0 K: -1.764 eV per atom.

=====

BaFe2P4H4O17 after structural relaxation. Source: the Materials Project, functional PBE with a Hubbard U.

Cell: 9.417 8.106 9.538 Å, 90.00 116.83 90.00°
Atoms (fractional coordinates):
Ba (0.172, 0.000, 0.346)
Ba (0.828, 0.500, 0.654)
Fe (0.241, 0.742, 0.754)
Fe (0.264, 0.508, 0.243)
Fe (0.736, 0.008, 0.757)
Fe (0.759, 0.242, 0.246)
P (0.018, 0.560, 0.411)
P (0.073, 0.807, 0.984)
P (0.426, 0.435, 0.007)
P (0.481, 0.689, 0.588)
P (0.519, 0.189, 0.412)
P (0.574, 0.935, 0.993)
P (0.927, 0.307, 0.016)
P (0.982, 0.060, 0.589)
H (0.147, 0.266, 0.709)
H (0.232, 0.280, 0.991)
H (0.269, 0.964, 0.002)
H (0.470, 0.502, 0.749)
H (0.530, 0.002, 0.251)
H (0.731, 0.464, 0.998)
H (0.768, 0.780, 0.009)
H (0.853, 0.766, 0.291)
O (0.035, 0.237, 0.675)
O (0.078, 0.591, 0.588)
O (0.092, 0.709, 0.854)
O (0.100, 0.359, 0.064)
O (0.131, 0.952, 0.644)
O (0.141, 0.716, 0.142)
O (0.145, 0.493, 0.370)
O (0.169, 0.977, 0.014)
O (0.321, 0.271, 0.962)
O (0.339, 0.201, 0.615)
O (0.345, 0.774, 0.608)
O (0.364, 0.288, 0.344)
O (0.376, 0.537, 0.854)
O (0.395, 0.527, 0.130)
O (0.399, 0.881, 0.935)
O (0.432, 0.652, 0.413)
O (0.479, 0.016, 0.324)
O (0.521, 0.516, 0.676)
O (0.568, 0.152, 0.587)
O (0.601, 0.381, 0.065)
O (0.605, 0.027, 0.870)
O (0.624, 0.037, 0.146)
O (0.636, 0.788, 0.656)
O (0.655, 0.274, 0.392)
O (0.661, 0.701, 0.385)
O (0.679, 0.771, 0.038)
O (0.831, 0.477, 0.986)
O (0.855, 0.993, 0.630)
O (0.859, 0.216, 0.858)
O (0.869, 0.452, 0.356)
O (0.900, 0.859, 0.936)
O (0.908, 0.209, 0.146)
O (0.922, 0.091, 0.412)
O (0.965, 0.737, 0.325)

Values from the calculation:
As for the space-group type: P2_1 (4). The energy with MP2020 corrections is -397.1 eV for the cell shown. As for the formation enthalpy at 0 K: -2.156 eV per atom.

=====

Li2Co3P4O14 after structural relaxation. Source: the Materials Project, functional PBE with a Hubbard U.

Cell: 7.342 7.962 9.528 Å, 90.00 109.91 90.00°
Atoms (fractional coordinates):
Li (0.208, 0.085, 0.138)
Li (0.208, 0.415, 0.638)
Li (0.792, 0.585, 0.362)
Li (0.792, 0.915, 0.862)
Co (0.311, 0.126, 0.481)
Co (0.311, 0.374, 0.981)
Co (0.500, 0.000, 0.000)
Co (0.500, 0.500, 0.500)
Co (0.689, 0.626, 0.019)
Co (0.689, 0.874, 0.519)
P (0.099, 0.045, 0.718)
P (0.099, 0.455, 0.218)
P (0.386, 0.707, 0.194)
P (0.386, 0.793, 0.694)
P (0.614, 0.207, 0.306)
P (0.614, 0.293, 0.806)
P (0.901, 0.545, 0.782)
P (0.901, 0.955, 0.282)
O (0.111, 0.501, 0.800)
O (0.111, 0.999, 0.300)
O (0.124, 0.165, 0.600)
O (0.124, 0.335, 0.100)
O (0.181, 0.637, 0.191)
O (0.181, 0.863, 0.691)
O (0.219, 0.105, 0.878)
O (0.219, 0.395, 0.378)
O (0.352, 0.621, 0.622)
O (0.352, 0.879, 0.122)
O (0.468, 0.584, 0.107)
O (0.468, 0.916, 0.607)
O (0.486, 0.205, 0.138)
O (0.486, 0.295, 0.638)
O (0.514, 0.705, 0.362)
O (0.514, 0.795, 0.862)
O (0.532, 0.084, 0.393)
O (0.532, 0.416, 0.893)
O (0.648, 0.121, 0.878)
O (0.648, 0.379, 0.378)
O (0.781, 0.605, 0.622)
O (0.781, 0.895, 0.122)
O (0.819, 0.137, 0.309)
O (0.819, 0.363, 0.809)
O (0.876, 0.665, 0.900)
O (0.876, 0.835, 0.400)
O (0.889, 0.001, 0.700)
O (0.889, 0.499, 0.200)

Values from the calculation:
The energy above the most stable polymorph in this dataset is 0 meV/atom. As for the space-group type: P2_1/c (14). The energy with MP2020 corrections is -342.4 eV for the cell shown. As for the formation enthalpy at 0 K: -2.397 eV per atom.

=====

LiCo2S3O12 after structural relaxation. Source: the Materials Project, functional PBE with a Hubbard U.

Cell: 8.486 8.742 14.695 Å, 90.00 125.11 90.00°
Atoms (fractional coordinates):
Li (0.010, 0.219, 0.321)
Li (0.010, 0.281, 0.821)
Li (0.990, 0.719, 0.179)
Li (0.990, 0.781, 0.679)
Co (0.144, 0.539, 0.391)
Co (0.144, 0.961, 0.891)
Co (0.373, 0.533, 0.117)
Co (0.373, 0.967, 0.617)
Co (0.627, 0.033, 0.383)
Co (0.627, 0.467, 0.883)
Co (0.856, 0.039, 0.109)
Co (0.856, 0.461, 0.609)
S (0.035, 0.109, 0.644)
S (0.035, 0.391, 0.144)
S (0.253, 0.619, 0.651)
S (0.253, 0.881, 0.151)
S (0.458, 0.248, 0.493)
S (0.458, 0.252, 0.993)
S (0.542, 0.748, 0.007)
S (0.542, 0.752, 0.507)
S (0.747, 0.119, 0.849)
S (0.747, 0.381, 0.349)
S (0.965, 0.609, 0.856)
S (0.965, 0.891, 0.356)
O (0.017, 0.241, 0.186)
O (0.017, 0.259, 0.686)
O (0.085, 0.510, 0.229)
O (0.085, 0.990, 0.729)
O (0.109, 0.586, 0.676)
O (0.109, 0.914, 0.176)
O (0.154, 0.564, 0.958)
O (0.154, 0.936, 0.458)
O (0.177, 0.580, 0.536)
O (0.177, 0.920, 0.036)
O (0.185, 0.120, 0.622)
O (0.185, 0.380, 0.122)
O (0.261, 0.186, 0.935)
O (0.261, 0.314, 0.435)
O (0.288, 0.712, 0.170)
O (0.288, 0.788, 0.670)
O (0.397, 0.635, 0.439)
O (0.397, 0.865, 0.939)
O (0.431, 0.526, 0.727)
O (0.431, 0.974, 0.227)
O (0.475, 0.188, 0.404)
O (0.475, 0.312, 0.904)
O (0.481, 0.124, 0.569)
O (0.481, 0.376, 0.069)
O (0.519, 0.624, 0.931)
O (0.519, 0.876, 0.431)
O (0.525, 0.688, 0.096)
O (0.525, 0.812, 0.596)
O (0.569, 0.026, 0.773)
O (0.569, 0.474, 0.273)
O (0.603, 0.135, 0.061)
O (0.603, 0.365, 0.561)
O (0.712, 0.212, 0.330)
O (0.712, 0.288, 0.830)
O (0.739, 0.686, 0.565)
O (0.739, 0.814, 0.065)
O (0.815, 0.620, 0.878)
O (0.815, 0.880, 0.378)
O (0.823, 0.080, 0.964)
O (0.823, 0.420, 0.464)
O (0.846, 0.064, 0.542)
O (0.846, 0.436, 0.042)
O (0.891, 0.086, 0.824)
O (0.891, 0.414, 0.324)
O (0.915, 0.010, 0.271)
O (0.915, 0.490, 0.771)
O (0.983, 0.741, 0.314)
O (0.983, 0.759, 0.814)

Values from the calculation:
The energy above the most stable polymorph in this dataset is 0 meV/atom. As for the space-group type: P2_1/c (14). The energy with MP2020 corrections is -480.5 eV for the cell shown. As for the formation enthalpy at 0 K: -1.789 eV per atom.